# Nb4FeTe4, optimized geometry, DFT PBE-GGA
data_Nb4FeTe4
_cell_length_a 10.6548
_cell_length_b 18.4700
_cell_length_c 4.8888
_cell_angle_alpha 90.00
_cell_angle_beta 90.00
_cell_angle_gamma 90.00
_symmetry_space_group_name_H-M 'P 1'
_symmetry_Int_Tables_number 1
loop_
_symmetry_equiv_pos_as_xyz
'x,y,z'
loop_
_atom_site_label
_atom_site_type_symbol
_atom_site_fract_x
_atom_site_fract_y
_atom_site_fract_z
_atom_site_occupancy
Nb1 Nb 0.0657 0.1192 0.0000 1
Nb2 Nb 0.1007 0.8892 0.5000 1
Nb3 Nb 0.1939 0.0585 0.5000 1
Nb4 Nb 0.2085 0.9626 0.0000 1
Nb5 Nb 0.2915 0.4626 0.0000 1
Nb6 Nb 0.3061 0.5585 0.5000 1
Nb7 Nb 0.3993 0.3892 0.5000 1
Nb8 Nb 0.4343 0.6192 0.0000 1
Nb9 Nb 0.5657 0.3808 0.0000 1
Nb10 Nb 0.6007 0.6108 0.5000 1
Nb11 Nb 0.6939 0.4415 0.5000 1
Nb12 Nb 0.7085 0.5374 0.0000 1
Nb13 Nb 0.7915 0.0374 0.0000 1
Nb14 Nb 0.8061 0.9415 0.5000 1
Nb15 Nb 0.8993 0.1108 0.5000 1
Nb16 Nb 0.9343 0.8808 0.0000 1
Fe1 Fe 0.0000 0.0000 0.2507 1
Fe2 Fe 0.0000 0.0000 0.7493 1
Fe3 Fe 0.5000 0.5000 0.2507 1
Fe4 Fe 0.5000 0.5000 0.7493 1
Te1 Te 0.1102 0.2051 0.5000 1
Te2 Te 0.1440 0.4352 0.5000 1
Te3 Te 0.1680 0.5996 0.0000 1
Te4 Te 0.1714 0.8102 0.0000 1
Te5 Te 0.3286 0.3102 0.0000 1
Te6 Te 0.3320 0.0996 0.0000 1
Te7 Te 0.3560 0.9352 0.5000 1
Te8 Te 0.3898 0.7051 0.5000 1
Te9 Te 0.6102 0.2949 0.5000 1
Te10 Te 0.6440 0.0648 0.5000 1
Te11 Te 0.6680 0.9004 0.0000 1
Te12 Te 0.6714 0.6898 0.0000 1
Te13 Te 0.8286 0.1898 0.0000 1
Te14 Te 0.8320 0.4004 0.0000 1
Te15 Te 0.8560 0.5648 0.5000 1
Te16 Te 0.8898 0.7949 0.5000 1
# Total moment = 1.0 Bohr magnetons per cell
# DFT total energy = -7.263 eV/atom
# Space-group type = Pbam


# Ba2DyMgNbO6, optimized geometry, DFT PBE-GGA
data_Ba2DyMgNbO6
_cell_length_a 6.0185
_cell_length_b 6.0185
_cell_length_c 6.6921
_cell_angle_alpha 116.80
_cell_angle_beta 116.80
_cell_angle_gamma 59.93
_symmetry_space_group_name_H-M 'P 1'
_symmetry_Int_Tables_number 1
loop_
_symmetry_equiv_pos_as_xyz
'x,y,z'
loop_
_atom_site_label
_atom_site_type_symbol
_atom_site_fract_x
_atom_site_fract_y
_atom_site_fract_z
_atom_site_occupancy
Ba1 Ba 0.0000 0.0000 0.0000 1
Ba2 Ba 0.5397 0.5397 0.6203 1
Dy1 Dy 0.2068 0.2068 0.6209 1
Mg1 Mg 0.3687 0.3687 0.1055 1
Nb1 Nb 0.7333 0.7333 0.2007 1
O1 O 0.4733 0.9602 0.3950 1
O2 O 0.4778 0.4778 0.9420 1
O3 O 0.4784 0.9860 0.9428 1
O4 O 0.9602 0.4733 0.3950 1
O5 O 0.9605 0.9605 0.3957 1
O6 O 0.9860 0.4784 0.9428 1
# Total moment = 0.0 Bohr magnetons per cell
# Space-group type = Cm
# Offset from the most stable computed form = 66 meV per atom


# Li8CrS6, optimized geometry, DFT PBE-GGA
data_Li8CrS6
_cell_length_a 6.8518
_cell_length_b 6.8518
_cell_length_c 13.3708
_cell_angle_alpha 90.00
_cell_angle_beta 90.00
_cell_angle_gamma 120.00
_symmetry_space_group_name_H-M 'P 1'
_symmetry_Int_Tables_number 1
loop_
_symmetry_equiv_pos_as_xyz
'x,y,z'
loop_
_atom_site_label
_atom_site_type_symbol
_atom_site_fract_x
_atom_site_fract_y
_atom_site_fract_z
_atom_site_occupancy
Li1 Li 0.0000 0.3145 0.0000 1
Li2 Li 0.0000 0.3790 0.3644 1
Li3 Li 0.0000 0.6210 0.8644 1
Li4 Li 0.0000 0.6855 0.5000 1
Li5 Li 0.3145 0.0000 0.0000 1
Li6 Li 0.3145 0.3145 0.5000 1
Li7 Li 0.3333 0.6667 0.1372 1
Li8 Li 0.3333 0.6667 0.6372 1
Li9 Li 0.3790 0.0000 0.3644 1
Li10 Li 0.3790 0.3790 0.8644 1
Li11 Li 0.6210 0.0000 0.8644 1
Li12 Li 0.6210 0.6210 0.3644 1
Li13 Li 0.6667 0.3333 0.1372 1
Li14 Li 0.6667 0.3333 0.6372 1
Li15 Li 0.6855 0.0000 0.5000 1
Li16 Li 0.6855 0.6855 0.0000 1
Cr1 Cr 0.0000 0.0000 0.2329 1
Cr2 Cr 0.0000 0.0000 0.7329 1
S1 S 0.0000 0.0000 0.4001 1
S2 S 0.0000 0.0000 0.9001 1
S3 S 0.0000 0.3048 0.1850 1
S4 S 0.0000 0.6952 0.6850 1
S5 S 0.3048 0.0000 0.1850 1
S6 S 0.3048 0.3048 0.6850 1
S7 S 0.3333 0.6667 0.4522 1
S8 S 0.3333 0.6667 0.9522 1
S9 S 0.6667 0.3333 0.4522 1
S10 S 0.6667 0.3333 0.9522 1
S11 S 0.6952 0.0000 0.6850 1
S12 S 0.6952 0.6952 0.1850 1
# Total moment = 4.0 Bohr magnetons per cell
# DFT total energy = -4.468 eV/atom
# Space-group type = P6_3cm